Entry 1:
Below is a relaxed Ba6ZnIn2Cl20 crystal, with properties calculated at the GGA-PBE level.

```
Ba6ZnIn2Cl20
1.0
10.3287 0.0000 0.0000
0.0000 18.1754 0.0000
0.0000 7.1863 18.6353
Cl In Ba Zn
80 8 24 4
Direct
0.2494 0.1319 0.5580
0.4977 0.6739 0.9866
0.0167 0.4939 0.3239
0.5129 0.2869 0.8192
0.9871 0.7869 0.8192
0.7614 0.6530 0.5623
0.9909 0.5563 0.8449
0.5666 0.8539 0.0091
0.4845 0.3979 0.5463
0.8313 0.1760 0.8389
0.3303 0.8767 0.8643
0.4856 0.6803 0.6734
0.5144 0.3197 0.3266
0.5155 0.6021 0.4537
0.0155 0.8979 0.5463
0.0030 0.9973 0.1636
0.1864 0.6151 0.1682
0.7506 0.8681 0.4420
0.9856 0.8197 0.3266
0.4789 0.8924 0.5607
0.0144 0.1803 0.6734
0.6864 0.8849 0.8318
0.8289 0.0070 0.9959
0.2506 0.6319 0.5580
0.3289 0.4930 0.0041
0.2389 0.1918 0.3381
0.7831 0.0969 0.3183
0.2386 0.3470 0.4377
0.1697 0.3767 0.8643
0.4429 0.2120 0.6725
0.7611 0.8082 0.6619
0.0211 0.3924 0.5607
0.3103 0.6694 0.8335
0.5211 0.1076 0.4393
0.6711 0.5070 0.9959
0.7169 0.5969 0.3183
0.9334 0.3539 0.0091
0.0091 0.4437 0.1551
0.0571 0.7120 0.6725
0.2831 0.4031 0.6817
0.9789 0.6076 0.4393
0.9059 0.9816 0.6659
0.7389 0.3082 0.6619
0.1687 0.8240 0.1611
0.5023 0.3261 0.0134
0.1897 0.1694 0.8335
0.5030 0.5027 0.8364
0.4970 0.4973 0.1636
0.6697 0.1233 0.1357
0.9429 0.2880 0.3275
0.0129 0.2131 0.1808
0.4059 0.5184 0.3341
0.1711 0.9930 0.0041
0.9845 0.1021 0.4537
0.8136 0.3849 0.8318
0.9977 0.8261 0.0134
0.0941 0.0184 0.3341
0.7494 0.3681 0.4420
0.4833 0.9939 0.3239
0.5571 0.7880 0.3275
0.8303 0.6233 0.1357
0.5941 0.4816 0.6659
0.0666 0.6461 0.9909
0.4909 0.9437 0.1551
0.6687 0.6760 0.8389
0.2614 0.8470 0.4377
0.5167 0.0061 0.6761
0.0023 0.1739 0.9866
0.9833 0.5061 0.6761
0.6897 0.3306 0.1665
0.5091 0.0563 0.8449
0.2611 0.6918 0.3381
0.7386 0.1530 0.5623
0.9970 0.0027 0.8364
0.4334 0.1461 0.9909
0.4871 0.7131 0.1808
0.3313 0.3240 0.1611
0.2169 0.9031 0.6817
0.3136 0.1151 0.1682
0.8103 0.8306 0.1665
0.5175 0.4143 0.0882
0.9825 0.9143 0.0882
0.4920 0.6578 0.3117
0.5080 0.3422 0.6883
0.9920 0.8422 0.6883
0.0175 0.0857 0.9118
0.4825 0.5857 0.9118
0.0080 0.1578 0.3117
0.2921 0.7649 0.0401
0.7921 0.7351 0.9599
0.7593 0.5880 0.7305
0.7617 0.4900 0.5256
0.2383 0.5100 0.4744
0.2617 0.0100 0.4744
0.0081 0.7493 0.4957
0.7466 0.9399 0.2693
0.2466 0.5601 0.7307
0.2534 0.0601 0.7307
0.9919 0.2507 0.5043
0.2407 0.4120 0.2695
0.7079 0.2351 0.9599
0.7534 0.4399 0.2693
0.5081 0.7507 0.5043
0.7383 0.9900 0.5256
0.4866 0.8210 0.7346
0.7407 0.0880 0.7305
0.4919 0.2493 0.4957
0.0134 0.3210 0.7346
0.9866 0.6790 0.2654
0.2079 0.2649 0.0401
0.5134 0.1790 0.2654
0.2593 0.9120 0.2695
0.0234 0.5761 0.1073
0.5234 0.9239 0.8927
0.4766 0.0761 0.1073
0.9766 0.4239 0.8927
```

Total energy = -3.90 eV per atom
Total energy after the MP2020 corrections = -4.33 eV/atom



Entry 2:
Below is a relaxed Ba6Nb2IrCl2O12 crystal, with properties calculated at the GGA-PBE level.

```
Ba6Nb2IrCl2O12
1.0
-3.0048 5.0155 -1.5365
1.2478 -4.1783 -4.1869
-12.9856 -6.8662 2.9821
O Cl Ba Ir Nb
12 2 6 1 2
Direct
0.1540 0.8460 0.9171
0.8377 0.1623 0.7568
0.8460 0.1540 0.0829
0.6753 0.8377 0.2432
0.1540 0.3080 0.9171
0.3247 0.1623 0.7568
0.3080 0.1540 0.0829
0.6920 0.8460 0.9171
0.1623 0.3247 0.2432
0.8460 0.6920 0.0829
0.8377 0.6753 0.7568
0.1623 0.8377 0.2432
0.3333 0.6667 0.5800
0.6667 0.3333 0.4200
0.3333 0.6667 0.0729
0.6667 0.3333 0.9271
0.3333 0.6667 0.3658
0.3333 0.6667 0.7920
0.6667 0.3333 0.2080
0.6667 0.3333 0.6342
0.0000 0.0000 0.0000
0.0000 0.0000 0.1868
0.0000 0.0000 0.8132
```

Total energy = -7.02 eV per atom
Total energy after the MP2020 corrections = -7.38 eV/atom



Entry 3:
Below is a relaxed BaLaCl5 crystal, with properties calculated at the GGA-PBE level.

```
BaLaCl5
1.0
10.0130 0.0000 0.0000
0.0000 13.2943 0.0000
0.0000 13.0401 13.9177
Cl La Ba
40 8 8
Direct
0.3845 0.7269 0.1885
0.4565 0.3254 0.9650
0.2626 0.7300 0.8641
0.0719 0.3335 0.9611
0.7374 0.2700 0.1359
0.5937 0.9968 0.1491
0.7047 0.5558 0.2545
0.7634 0.6808 0.3806
0.2047 0.4442 0.2455
0.0357 0.7010 0.2078
0.2953 0.4442 0.7455
0.6155 0.2731 0.8115
0.9643 0.2990 0.7922
0.2366 0.3192 0.6194
0.7366 0.6808 0.8806
0.5435 0.6746 0.0350
0.2634 0.3192 0.1194
0.8845 0.2731 0.3115
0.0937 0.0032 0.3509
0.9063 0.9968 0.6491
0.4643 0.7010 0.7078
0.6971 0.9837 0.4961
0.4419 0.9940 0.3262
0.4281 0.3335 0.4611
0.5357 0.2990 0.2922
0.9565 0.6746 0.5350
0.1155 0.7269 0.6885
0.4063 0.0032 0.8509
0.1971 0.0163 0.0039
0.5719 0.6665 0.5389
0.8029 0.9837 0.9961
0.7626 0.2700 0.6359
0.9281 0.6665 0.0389
0.9419 0.0060 0.1738
0.0435 0.3254 0.4650
0.7953 0.5558 0.7545
0.2374 0.7300 0.3641
0.0581 0.9940 0.8262
0.3029 0.0163 0.5039
0.5581 0.0060 0.6738
0.2870 0.1937 0.3058
0.2649 0.5335 0.8508
0.7351 0.4665 0.1492
0.7870 0.8063 0.1942
0.7649 0.4665 0.6492
0.2130 0.1937 0.8058
0.7130 0.8063 0.6942
0.2351 0.5335 0.3508
0.2221 0.0490 0.6493
0.7221 0.9510 0.8507
0.7341 0.2579 0.4683
0.2779 0.0490 0.1493
0.7659 0.2579 0.9683
0.2341 0.7421 0.0317
0.7779 0.9510 0.3507
0.2659 0.7421 0.5317
```

Energy relative to the lowest polymorph listed for this composition = 7 meV per atom
Total energy = -4.70 eV per atom
Total energy after the MP2020 corrections = -5.14 eV/atom



Entry 4:
Below is a relaxed Ba9La5Cl33 crystal, with properties calculated at the GGA-PBE level.

```
Ba9La5Cl33
1.0
11.5864 0.0000 0.0000
-3.6588 11.0291 0.0000
-3.6666 -5.3597 21.3236
Ba Cl La
18 66 10
Direct
0.2438 0.6384 0.8775
0.8704 0.2686 0.3389
0.3207 0.0926 0.9674
0.9277 0.7580 0.4359
0.4711 0.0210 0.1944
0.3228 0.5998 0.4619
0.9277 0.2545 0.9306
0.1342 0.2268 0.1607
0.5289 0.9790 0.8056
0.1296 0.7314 0.6611
0.7493 0.8773 0.6242
0.6793 0.9074 0.0326
0.7562 0.3616 0.1225
0.0723 0.7455 0.0694
0.0723 0.2420 0.5641
0.2507 0.1227 0.3758
0.6772 0.4002 0.5381
0.8658 0.7732 0.8393
0.7509 0.4669 0.4047
0.5515 0.1052 0.0736
0.1623 0.0375 0.4890
0.2491 0.5331 0.5953
0.7421 0.0448 0.1946
0.1825 0.5461 0.1454
0.0646 0.0775 0.8733
0.7483 0.6412 0.2887
0.5261 0.3894 0.0339
0.9430 0.4287 0.6266
0.4320 0.4401 0.1790
0.3974 0.3017 0.5908
0.1262 0.3168 0.4369
0.0314 0.1146 0.2748
0.7978 0.7126 0.9684
0.6470 0.7866 0.7362
0.1625 0.0179 0.6375
0.0482 0.8436 0.3241
0.3784 0.7877 0.0802
0.8377 0.9625 0.5110
0.2968 0.5010 0.3065
0.4796 0.1177 0.4754
0.5204 0.8823 0.5246
0.8375 0.9821 0.3625
0.7032 0.4990 0.6935
0.8082 0.2205 0.4736
0.4519 0.3942 0.4224
0.6560 0.3157 0.2421
0.6026 0.6983 0.4092
0.3530 0.2134 0.2638
0.0184 0.6159 0.7735
0.3440 0.6843 0.7579
0.5680 0.5599 0.8210
0.0570 0.5713 0.3734
0.7591 0.9647 0.9064
0.8175 0.4539 0.8546
0.9263 0.6478 0.1786
0.2579 0.9552 0.8054
0.0737 0.3522 0.8214
0.1918 0.7795 0.5264
0.3464 0.8155 0.3719
0.1139 0.8142 0.9389
0.2409 0.0353 0.0936
0.5813 0.1150 0.3396
0.8488 0.4713 0.0154
0.7740 0.1418 0.7833
0.5614 0.8196 0.2620
0.9518 0.1564 0.6759
0.2260 0.8582 0.2167
0.4739 0.6106 0.9661
0.4386 0.1804 0.7380
0.9354 0.9225 0.1267
0.6423 0.7011 0.1210
0.3577 0.2989 0.8790
0.1512 0.5287 0.9846
0.8861 0.1858 0.0611
0.2022 0.2874 0.0316
0.4485 0.8948 0.9264
0.6216 0.2123 0.9198
0.2517 0.3588 0.7113
0.8738 0.6832 0.5631
0.4187 0.8850 0.6604
0.5481 0.6058 0.5776
0.9816 0.3841 0.2265
0.9686 0.8854 0.7252
0.6536 0.1845 0.6281
0.3756 0.5419 0.0748
0.5381 0.4649 0.3123
0.6244 0.4581 0.9252
0.3822 0.0445 0.5864
0.1811 0.1440 0.7660
0.6178 0.9555 0.4136
0.8189 0.8560 0.2340
0.8553 0.3506 0.7327
0.1447 0.6494 0.2673
0.4619 0.5351 0.6877
```

Total energy = -4.67 eV per atom
Total energy after the MP2020 corrections = -5.11 eV/atom